LiTbS2O8: optimized geometry, GGA-PBE.

Results
E (MP2020): -166.5 eV per cell
space group: No. 118
E_form: -2.403 eV per atom
E_tot: -77.742 eV/f.u.

Lattice parameters (Å, degrees): 7.589 7.589 5.951 90.00 90.00 90.00
Sites, in units of the cell vectors:
Li: 0.000 0.500 0.250
Li: 0.500 0.000 0.750
Tb: 0.000 0.500 0.750
Tb: 0.500 0.000 0.250
S: 0.223 0.277 0.250
S: 0.277 0.777 0.750
S: 0.723 0.223 0.750
S: 0.777 0.723 0.250
O: 0.088 0.316 0.069
O: 0.096 0.792 0.657
O: 0.184 0.412 0.431
O: 0.208 0.096 0.343
O: 0.292 0.596 0.843
O: 0.316 0.912 0.931
O: 0.404 0.292 0.157
O: 0.412 0.816 0.569
O: 0.588 0.184 0.569
O: 0.596 0.708 0.157
O: 0.684 0.088 0.931
O: 0.708 0.404 0.843
O: 0.792 0.904 0.343
O: 0.816 0.588 0.431
O: 0.904 0.208 0.657
O: 0.912 0.684 0.069